WN2 | GGA-PBE | optimized geometry

```
data_WN2
_cell_length_a 5.8686
_cell_length_b 5.8686
_cell_length_c 6.4636
_cell_angle_alpha 90.00
_cell_angle_beta 90.00
_cell_angle_gamma 120.00
_symmetry_space_group_name_H-M 'P 31 2 1'
_symmetry_Int_Tables_number 152
_symmetry_space_group_name_Hall 'P 31 2"'
loop_
_atom_site_label
_atom_site_type_symbol
_atom_site_fract_x
_atom_site_fract_y
_atom_site_fract_z
W1 W 0.0000 0.4981 0.1667
N1 N 0.2083 0.7846 0.9974
```

volume	21.42	Å³/atom
uncorrected energy	-0.74157	Ry per atom